SiO2 after structural relaxation. Source: the Materials Project database, functional r2SCAN.

Properties
Uncorrected energy ... -9.92 eV per atom
V ... 23.391 Å³ per atom

Cell and atoms, written as CIF:
```
data_SiO2
_chemical_formula_sum 'Si24 O48'
_space_group_name_H-M_alt 'P m -3 m'
_space_group_IT_number 221
_space_group_name_Hall '-P 4 2 3'
_cell_length_a 11.898
_cell_length_b 11.898
_cell_length_c 11.898
_cell_angle_alpha 90.00
_cell_angle_beta 90.00
_cell_angle_gamma 90.00
loop_
_atom_site_label
_atom_site_type_symbol
_atom_site_fract_x
_atom_site_fract_y
_atom_site_fract_z
_atom_site_occupancy
Si1 Si 0.000 0.183 0.368 1
O1 O 0.000 0.214 0.500 1
O2 O 0.000 0.297 0.297 1
O3 O 0.111 0.111 0.338 1
```

=====

Li2VF5 after structural relaxation. Source: the Materials Project database, functional r2SCAN.

Properties
Uncorrected energy ... -7.54 eV per atom
V ... 10.300 Å³ per atom

Cell and atoms, written as CIF:
```
data_Li2VF5
_chemical_formula_sum 'Li8 V4 F20'
_space_group_name_H-M_alt 'C 1 2/c 1'
_space_group_IT_number 15
_cell_length_a 9.944
_cell_length_b 4.993
_cell_length_c 7.115
_cell_angle_alpha 90.00
_cell_angle_beta 111.11
_cell_angle_gamma 90.00
loop_
_space_group_symop_operation_xyz
'x,y,z'
'-x,-y,-z'
'-x,y,-z+1/2'
'x,-y,z+1/2'
'x+1/2,y+1/2,z'
'-x+1/2,-y+1/2,-z'
'-x+1/2,y+1/2,-z+1/2'
'x+1/2,-y+1/2,z+1/2'
loop_
_atom_site_label
_atom_site_type_symbol
_atom_site_fract_x
_atom_site_fract_y
_atom_site_fract_z
_atom_site_occupancy
Li1 Li 0.137 0.007 0.236 1
V1 V 0.000 0.500 0.000 1
F1 F 0.000 0.308 0.750 1
F2 F 0.086 0.176 0.453 1
F3 F 0.184 0.346 0.148 1
```

=====

NbSi2 after structural relaxation. Source: the Materials Project database, functional r2SCAN.

Properties
Uncorrected energy ... -14.61 eV per atom
V ... 14.640 Å³ per atom

Cell and atoms, written as CIF:
```
data_NbSi2
_chemical_formula_sum 'Nb3 Si6'
_space_group_name_H-M_alt 'P 62 2 2'
_space_group_IT_number 180
_space_group_name_Hall 'P 62 2 (0 0 4)'
_cell_length_a 4.8062
_cell_length_b 4.8062
_cell_length_c 6.5864
_cell_angle_alpha 90.00
_cell_angle_beta 90.00
_cell_angle_gamma 120.00
loop_
_atom_site_label
_atom_site_type_symbol
_atom_site_fract_x
_atom_site_fract_y
_atom_site_fract_z
_atom_site_occupancy
Nb1 Nb 0.0000 0.5000 0.1667 1
Si1 Si 0.1582 0.3163 0.5000 1
```

=====

CsIn5S8 after structural relaxation. Source: the Materials Project database, functional r2SCAN.

Properties
Uncorrected energy ... -15.32 eV per atom
V ... 24.445 Å³ per atom

Cell and atoms, written as CIF:
```
data_CsIn5S8
_chemical_formula_sum 'Cs2 In10 S16'
_space_group_name_H-M_alt 'C 1 2/m 1'
_space_group_IT_number 12
_cell_length_a 19.197
_cell_length_b 3.892
_cell_length_c 9.371
_cell_angle_alpha 90.00
_cell_angle_beta 102.14
_cell_angle_gamma 90.00
loop_
_space_group_symop_operation_xyz
'x,y,z'
'-x,-y,-z'
'-x,y,-z'
'x,-y,z'
'x+1/2,y+1/2,z'
'-x+1/2,-y+1/2,-z'
'-x+1/2,y+1/2,-z'
'x+1/2,-y+1/2,z'
loop_
_atom_site_label
_atom_site_type_symbol
_atom_site_fract_x
_atom_site_fract_y
_atom_site_fract_z
_atom_site_occupancy
Cs1 Cs 0.000 0.000 0.000 1
In1 In 0.000 0.500 0.500 1
In2 In 0.151 0.000 0.434 1
In3 In 0.210 0.000 0.840 1
S1 S 0.079 0.500 0.306 1
S2 S 0.082 0.000 0.638 1
S3 S 0.167 0.500 0.984 1
S4 S 0.235 0.500 0.652 1
```

=====

YbGa4 after structural relaxation. Source: the Materials Project database, functional r2SCAN.

Properties
Uncorrected energy ... -16.75 eV per atom
V ... 18.760 Å³ per atom

Cell and atoms, written as CIF:
```
data_YbGa4
_chemical_formula_sum 'Yb2 Ga8'
_space_group_name_H-M_alt 'I 4/m m m'
_space_group_IT_number 139
_space_group_name_Hall '-I 4 2'
_cell_length_a 4.133
_cell_length_b 4.133
_cell_length_c 10.984
_cell_angle_alpha 90.00
_cell_angle_beta 90.00
_cell_angle_gamma 90.00
loop_
_atom_site_label
_atom_site_type_symbol
_atom_site_fract_x
_atom_site_fract_y
_atom_site_fract_z
_atom_site_occupancy
Yb1 Yb 0.000 0.000 0.000 1
Ga1 Ga 0.000 0.000 0.391 1
Ga2 Ga 0.000 0.500 0.250 1
```

=====

LiI after structural relaxation. Source: the Materials Project database, functional r2SCAN.

Properties
Excess energy over the best structure of this formula in the dataset ... 28.7 meV per atom
Uncorrected energy ... -14.85 eV per atom
V ... 26.575 Å³ per atom

Cell and atoms, written as CIF:
```
data_LiI
_chemical_formula_sum 'Li4 I4'
_space_group_name_H-M_alt 'F m -3 m'
_space_group_IT_number 225
_space_group_name_Hall '-F 4 2 3'
_cell_length_a 5.968
_cell_length_b 5.968
_cell_length_c 5.968
_cell_angle_alpha 90.00
_cell_angle_beta 90.00
_cell_angle_gamma 90.00
loop_
_atom_site_label
_atom_site_type_symbol
_atom_site_fract_x
_atom_site_fract_y
_atom_site_fract_z
_atom_site_occupancy
Li1 Li 0.000 0.000 0.000 1
I1 I 0.000 0.000 0.500 1
```

=====

Y4SiS3 after structural relaxation. Source: the Materials Project database, functional r2SCAN.

Properties
Uncorrected energy ... -16.25 eV per atom
V ... 22.183 Å³ per atom

Cell and atoms, written as CIF:
```
data_Y4SiS3
_chemical_formula_sum 'Y8 Si2 S6'
_space_group_name_H-M_alt 'I 4/m m m'
_space_group_IT_number 139
_space_group_name_Hall '-I 4 2'
_cell_length_a 5.611
_cell_length_b 5.611
_cell_length_c 11.273
_cell_angle_alpha 90.00
_cell_angle_beta 90.00
_cell_angle_gamma 90.00
loop_
_atom_site_label
_atom_site_type_symbol
_atom_site_fract_x
_atom_site_fract_y
_atom_site_fract_z
_atom_site_occupancy
Y1 Y 0.000 0.000 0.247 1
Y2 Y 0.000 0.500 0.000 1
Si1 Si 0.000 0.000 0.000 1
S1 S 0.000 0.000 0.500 1
S2 S 0.000 0.500 0.250 1
```

=====

TlV12S16 after structural relaxation. Source: the Materials Project database, functional r2SCAN.

Properties
Excess energy over the best structure of this formula in the dataset ... 0.0 meV per atom
Uncorrected energy ... -13.30 eV per atom
V ... 18.079 Å³ per atom

Cell and atoms, written as CIF:
```
data_TlV12S16
_chemical_formula_sum 'Tl1 V12 S16'
_space_group_name_H-M_alt 'P 1'
_space_group_IT_number 1
_cell_length_a 7.079
_cell_length_b 9.209
_cell_length_c 9.895
_cell_angle_alpha 117.37
_cell_angle_beta 110.94
_cell_angle_gamma 90.01
loop_
_space_group_symop_operation_xyz
'x,y,z'
loop_
_atom_site_label
_atom_site_type_symbol
_atom_site_fract_x
_atom_site_fract_y
_atom_site_fract_z
_atom_site_occupancy
Tl1 Tl 0.000 0.000 0.000 1
V1 V 0.008 0.522 0.870 1
V2 V 0.084 0.654 0.515 1
V3 V 0.318 0.347 0.487 1
V4 V 0.389 0.479 0.130 1
V5 V 0.396 0.138 0.650 1
V6 V 0.503 0.864 0.353 1
V7 V 0.507 0.525 0.869 1
V8 V 0.576 0.653 0.513 1
V9 V 0.812 0.344 0.482 1
V10 V 0.887 0.480 0.130 1
V11 V 0.896 0.135 0.644 1
V12 V 0.998 0.866 0.356 1
S1 S 0.051 0.313 0.955 1
S2 S 0.147 0.961 0.650 1
S3 S 0.156 0.336 0.667 1
S4 S 0.238 0.667 0.331 1
S5 S 0.252 0.040 0.356 1
S6 S 0.345 0.690 0.043 1
S7 S 0.418 0.646 0.688 1
S8 S 0.476 0.353 0.311 1
S9 S 0.552 0.314 0.957 1
S10 S 0.647 0.961 0.648 1
S11 S 0.658 0.335 0.669 1
S12 S 0.740 0.664 0.333 1
S13 S 0.748 0.040 0.350 1
S14 S 0.845 0.691 0.044 1
S15 S 0.915 0.644 0.684 1
S16 S 0.981 0.354 0.312 1
```